Compound: Na4MgCu4O8
Source: Materials Project
Functional: PBE
Structure: optimized geometry

abc: 5.541 5.657 8.882
angles: 89.82 69.37 75.23
Sites, in units of the cell vectors:
Na  0.438  0.808  0.827
Na  0.621  0.217  0.096
Na  0.447  0.507  0.449
Na  0.418  0.018  0.445
Cu  0.044  0.357  0.247
Cu  0.970  0.132  0.773
Cu  0.031  0.860  0.253
Cu  0.994  0.622  0.771
O  0.753  0.460  0.897
O  0.294  0.561  0.217
O  0.784  0.677  0.269
O  0.210  0.816  0.660
O  0.788  0.167  0.296
O  0.294  0.026  0.213
O  0.186  0.328  0.649
O  0.773  0.907  0.902
Mg  0.610  0.716  0.102

Output
E_tot (eV/atom): -4.821
Formation enthalpy at 0 K (eV per atom): -1.446
Energy above the lowest structure with this stoichiometry (eV per atom): 0.0000
Volume (Å³ per atom): 14.8
Size of the total moment (μB/f.u.): 1.83
Theoretical density (g/cm³): 3.3